Version i
The following is a GGA-PBE calculation of Si3N4 after structural relaxation, from the Materials Project database.

Cell: 11.1810 10.8342 10.0527 Å, 87.84 86.80 91.36°
Last column: nearest neighbours and their distance in Å.
Fractional coordinates of all 105 atoms:
1 Si 0.9686 0.4644 0.5555  3 N 1.74-1.77
2 Si 0.5481 0.7981 0.5109  1 N 1.61
3 Si 0.3736 0.0369 0.1326  3 N 1.64-1.78
4 Si 0.0218 0.2941 0.3473  4 N 1.73-1.82
5 Si 0.4113 0.6344 0.2934  4 N 1.69-1.81
6 Si 0.4427 0.3888 0.6665  3 N 1.72-1.78
7 Si 0.7512 0.0585 0.7526  3 N 1.76-1.82
8 Si 0.9604 0.6728 0.5023  2 N 1.75-1.77
9 Si 0.1987 0.4805 0.7334  4 N 1.77-1.95
10 Si 0.0125 0.7401 0.0025  4 N 1.75-1.80
11 Si 0.2051 0.6293 0.5142  3 N 1.68-1.82
12 Si 0.4412 0.7181 0.9940  4 N 1.74-1.93
13 Si 0.6433 0.2558 0.0241  4 N 1.71-1.76
14 Si 0.2972 0.3313 0.2265  4 N 1.76-1.89
15 Si 0.5163 0.3206 0.4698  3 N 1.70-1.86
16 Si 0.4884 0.9337 0.7826  3 N 1.67-1.81
17 Si 0.6504 0.5493 0.6272  4 N 1.74-1.78
18 Si 0.5499 0.9857 0.9990  2 N 1.80-1.87
19 Si 0.5683 0.1412 0.2973  4 N 1.70-1.80
20 Si 0.1875 0.7426 0.8351  3 N 1.71-1.85
21 Si 0.0927 0.0242 0.4870  4 N 1.68-1.81
22 Si 0.1577 0.3425 0.0006  3 N 1.69-1.77
23 Si 0.9904 0.0761 0.2686  4 N 1.73-1.81
24 Si 0.3598 0.1226 0.4278  2 N 1.61-1.73
25 Si 0.4191 0.6526 0.7233  4 N 1.72-1.86
26 Si 0.4377 0.1781 0.8744  4 N 1.71-1.80
27 Si 0.0470 0.7915 0.3013  4 N 1.72-1.81
28 Si 0.9660 0.9136 0.7817  4 N 1.71-1.78
29 Si 0.8579 0.8832 0.5788  3 N 1.77-1.82
30 Si 0.9565 0.4137 0.8332  4 N 1.73-1.75
31 Si 0.2489 0.8142 0.1018  4 N 1.64-1.80
32 Si 0.6953 0.4825 0.8609  4 N 1.73-1.80
33 Si 0.8315 0.0606 0.0119  4 N 1.70-1.84
34 Si 0.7086 0.1331 0.4938  3 N 1.71-1.91
35 Si 0.2515 0.4088 0.4659  5 N 1.78-1.97
36 Si 0.7202 0.7857 0.0940  3 N 1.70-1.80
37 Si 0.9229 0.2951 0.0686  3 N 1.69-1.73
38 Si 0.7555 0.9663 0.2306  4 N 1.68-1.80
39 Si 0.7707 0.4712 0.3723  4 N 1.72-1.82
40 Si 0.7017 0.7760 0.8188  3 N 1.73-1.79
41 Si 0.7687 0.7470 0.4108  3 N 1.76-1.79
42 Si 0.3969 0.4456 0.9469  4 N 1.75-1.85
43 Si 0.7716 0.2791 0.6633  2 N 1.76-1.83
44 Si 0.6081 0.4235 0.1978  4 N 1.75-1.92
45 Si 0.8505 0.5511 0.0755  4 N 1.70-1.80
46 N 0.9128 0.7059 0.3421  3 Si 1.75-1.79
47 N 0.6495 0.9287 0.7899  3 Si 1.79-1.81
48 N 0.6324 0.3968 0.3844  2 Si 1.70-1.72
49 N 0.7152 0.8138 0.2635  3 Si 1.72-1.76
50 N 0.7505 0.5031 0.2020  3 Si 1.70-1.80
51 N 0.8787 0.0311 0.8531  3 Si 1.70-1.82
52 N 0.2564 0.6500 0.6918  4 Si 1.86-1.95
53 N 0.6840 0.4056 0.7062  3 Si 1.76-1.80
54 N 0.0717 0.8547 0.8806  3 Si 1.71-1.85
55 N 0.4772 0.5090 0.2036  1 N 1.48
56 N 0.0064 0.9412 0.6144  3 Si 1.73-1.82
57 N 0.3857 0.4420 0.1312  1 N 1.48
58 N 0.3727 0.2997 0.3873  4 Si 1.86-1.97
59 N 0.4721 0.8024 0.6794  3 Si 1.75-1.85
60 N 0.4326 0.0682 0.2858  3 Si 1.71-1.75
61 N 0.4237 0.0696 0.7571  2 Si 1.67-1.71
62 N 0.4463 0.3337 0.8295  3 Si 1.73-1.80
63 N 0.1684 0.3526 0.3341  3 Si 1.74-1.78
64 N 0.2933 0.3888 0.6330  3 Si 1.72-1.78
65 N 0.2481 0.9548 0.1555  2 Si 1.64
66 N 0.0774 0.6299 0.8918  1 N 1.43
67 N 0.0457 0.9445 0.3426  3 Si 1.72-1.81
68 N 0.9159 0.3588 0.6814  3 Si 1.74-1.83
69 N 0.8969 0.0058 0.1562  3 Si 1.75-1.76
70 N 0.7008 0.9611 0.0653  4 Si 1.80-1.93
71 N 0.8578 0.7129 0.0428  3 Si 1.77-1.80
72 N 0.9890 0.2278 0.1989  3 Si 1.69-1.76
73 N 0.4822 0.7283 0.3951  2 Si 1.61-1.69
74 N 0.7049 0.0761 0.3308  3 Si 1.68-1.78
75 N 0.2460 0.4343 0.8949  3 Si 1.69-1.80
76 N 0.1904 0.1522 0.8061  1 N 1.12
77 N 0.5881 0.2622 0.1858  3 Si 1.70-1.77
78 N 0.3022 0.5613 0.4049  3 Si 1.70-1.81
79 N 0.8465 0.8114 0.7432  3 Si 1.78-1.80
80 N 0.8378 0.4761 0.9254  3 Si 1.74-1.76
81 N 0.9776 0.4610 0.1145  1 N 1.27
82 N 0.2520 0.2451 0.0907  1 N 1.50
83 N 0.5429 0.1621 0.4736  3 Si 1.75-1.91
84 N 0.1330 0.1493 0.7186  1 N 1.12
85 N 0.6137 0.7377 0.9913  1 Si 1.70
86 N 0.7787 0.0230 0.5844  3 Si 1.71-1.77
87 N 0.4359 0.5960 0.8874  3 Si 1.74-1.76
88 N 0.0982 0.7554 0.1411  3 Si 1.74-1.80
89 N 0.1071 0.7282 0.4522  3 Si 1.68-1.81
90 N 0.7390 0.5943 0.4820  3 Si 1.76-1.79
91 N 0.3682 0.7181 0.1515  3 Si 1.74-1.79
92 N 0.3546 0.1741 0.0335  1 N 1.50
93 N 0.7952 0.2158 0.0260  3 Si 1.73-1.76
94 N 0.0912 0.4687 0.1074  1 N 1.27
95 N 0.1237 0.4851 0.5586  3 Si 1.75-1.89
96 N 0.2997 0.7881 0.9319  3 Si 1.71-1.90
97 N 0.0564 0.5365 0.7981  1 N 1.43
98 N 0.0227 0.3007 0.9314  3 Si 1.72-1.75
99 N 0.5821 0.1407 0.9344  3 Si 1.72-1.80
100 N 0.9142 0.4059 0.4075  3 Si 1.77-1.82
101 N 0.6826 0.6255 0.7705  3 Si 1.73-1.78
102 N 0.4939 0.5443 0.6311  3 Si 1.72-1.78
103 N 0.0095 0.1490 0.4248  3 Si 1.73-1.81
104 N 0.6142 0.4127 0.9962  2 Si 1.73-1.75
105 N 0.2402 0.0544 0.4951  2 Si 1.61-1.68

Summary:
Total magnetic moment in μB/f.u.: 0.0
V in A^3/atom: 11.567


Version ii
The following is a GGA-PBE calculation of Si3N4 after structural relaxation, from the Materials Project database.

Cell: 10.5611 10.1041 10.9811 Å, 85.72 89.50 88.00°
Last column: nearest neighbours and their distance in Å.
Fractional coordinates of all 105 atoms:
1 Si 0.8833 0.8195 0.5618  4 N 1.71-1.89
2 Si 0.1483 0.1828 0.4813  4 N 1.68-1.86
3 Si 0.9596 0.4100 0.8378  5 N 1.79-1.98
4 Si 0.3903 0.4614 0.8961  4 N 1.71-1.89
5 Si 0.1921 0.9617 0.9047  4 N 1.75-1.77
6 Si 0.2232 0.6885 0.5159  4 N 1.72-1.80
7 Si 0.4948 0.8673 0.2629  3 N 1.62-1.78
8 Si 0.7572 0.2641 0.7061  4 N 1.71-1.77
9 Si 0.6949 0.6989 0.6190  4 N 1.72-1.79
10 Si 0.2234 0.1993 0.2155  4 N 1.74-1.82
11 Si 0.6348 0.3073 0.9611  4 N 1.70-1.78
12 Si 0.6406 0.0699 0.9013  3 N 1.63-1.76
13 Si 0.7641 0.7047 0.0625  4 N 1.77-1.78
14 Si 0.7479 0.9673 0.1275  3 N 1.65-1.82
15 Si 0.1469 0.4597 0.3700  4 N 1.72-1.90
16 Si 0.1043 0.2529 0.9746  4 N 1.72-1.86
17 Si 0.1691 0.6714 0.7958  4 N 1.73-1.84
18 Si 0.9030 0.3350 0.3733  4 N 1.73-1.88
19 Si 0.4425 0.4202 0.2841  4 N 1.66-1.84
20 Si 0.8710 0.0757 0.5274  4 N 1.67-1.78
21 Si 0.6406 0.0129 0.6404  4 N 1.72-1.93
22 Si 0.7020 0.4420 0.2028  4 N 1.73-1.79
23 Si 0.4901 0.6372 0.0983  3 N 1.68-1.80
24 Si 0.0027 0.3272 0.5889  4 N 1.68-1.87
25 Si 0.6568 0.4563 0.4712  4 N 1.71-1.87
26 Si 0.5051 0.1602 0.1678  3 N 1.62-1.74
27 Si 0.9690 0.5059 0.1707  4 N 1.72-1.80
28 Si 0.0430 0.7322 0.0249  4 N 1.76-1.80
29 Si 0.3646 0.4868 0.5376  4 N 1.70-1.77
30 Si 0.0278 0.7426 0.3083  4 N 1.69-1.82
31 Si 0.2304 0.4843 0.1135  4 N 1.73-1.81
32 Si 0.8933 0.6531 0.8223  4 N 1.72-1.77
33 Si 0.2450 0.2957 0.7400  4 N 1.71-1.83
34 Si 0.0345 0.0020 0.1358  4 N 1.76-1.80
35 Si 0.6546 0.0099 0.3686  3 N 1.61-1.77
36 Si 0.4294 0.6965 0.6875  4 N 1.70-1.82
37 Si 0.5045 0.2781 0.5612  4 N 1.75-1.86
38 Si 0.8692 0.2509 0.1066  4 N 1.71-1.79
39 Si 0.7431 0.7461 0.3534  4 N 1.75-1.90
40 Si 0.3981 0.9787 0.5132  4 N 1.74-1.92
41 Si 0.3772 0.1484 0.9788  4 N 1.74-1.76
42 Si 0.2179 0.9422 0.3542  4 N 1.71-1.87
43 Si 0.1353 0.9307 0.6320  4 N 1.74-1.84
44 Si 0.3945 0.9789 0.7734  4 N 1.73-1.91
45 Si 0.6465 0.5718 0.8678  4 N 1.71-1.80
46 N 0.5146 0.1004 0.5340  3 Si 1.80-1.93
47 N 0.3451 0.2857 0.8756  3 Si 1.75-1.89
48 N 0.3650 0.5329 0.0331  3 Si 1.73-1.90
49 N 0.5850 0.6539 0.7288  3 Si 1.72-1.80
50 N 0.1627 0.7592 0.6470  3 Si 1.74-1.80
51 N 0.6033 0.0243 0.2150  3 Si 1.74-1.89
52 N 0.8008 0.5182 0.8556  2 Si 1.71-1.72
53 N 0.7580 0.8001 0.1913  3 Si 1.77-1.83
54 N 0.9722 0.1976 0.4806  4 Si 1.71-1.88
55 N 0.3821 0.9396 0.3623  3 Si 1.74-1.78
56 N 0.2852 0.4859 0.2621  3 Si 1.74-1.89
57 N 0.8917 0.7367 0.9587  3 Si 1.76-1.78
58 N 0.8805 0.0753 0.1392  3 Si 1.77-1.82
59 N 0.4389 0.7744 0.1635  2 Si 1.62-1.68
60 N 0.6094 0.8467 0.3802  3 Si 1.73-1.77
61 N 0.7148 0.3171 0.0978  3 Si 1.74-1.77
62 N 0.9772 0.9485 0.5895  3 Si 1.71-1.78
63 N 0.3542 0.9931 0.9250  3 Si 1.73-1.77
64 N 0.6938 0.6191 0.4791  3 Si 1.71-1.90
65 N 0.2117 0.5225 0.4960  3 Si 1.70-1.72
66 N 0.1463 0.7949 0.9094  3 Si 1.76-1.84
67 N 0.4166 0.8745 0.6513  3 Si 1.78-1.81
68 N 0.0386 0.5729 0.8101  3 Si 1.72-1.87
69 N 0.3753 0.3455 0.6395  3 Si 1.75-1.82
70 N 0.1072 0.0688 0.9965  3 Si 1.75-1.86
71 N 0.1810 0.3168 0.0980  3 Si 1.74-1.81
72 N 0.6475 0.3459 0.6032  3 Si 1.76-1.77
73 N 0.8945 0.7792 0.4067  3 Si 1.76-1.81
74 N 0.7120 0.9492 0.9836  2 Si 1.63-1.65
75 N 0.7698 0.1115 0.6454  3 Si 1.72-1.73
76 N 0.3885 0.6547 0.5464  3 Si 1.70-1.80
77 N 0.9949 0.4317 0.4602  3 Si 1.70-1.90
78 N 0.0864 0.5653 0.0651  3 Si 1.76-1.78
79 N 0.2012 0.2724 0.3570  2 Si 1.68-1.78
80 N 0.2161 0.0027 0.7480  3 Si 1.76-1.91
81 N 0.2194 0.0188 0.5044  4 Si 1.80-1.92
82 N 0.7442 0.3871 0.3567  3 Si 1.73-1.79
83 N 0.7896 0.0680 0.3982  2 Si 1.61-1.67
84 N 0.4870 0.4214 0.4454  4 Si 1.77-1.87
85 N 0.5516 0.4384 0.8910  3 Si 1.70-1.71
86 N 0.1192 0.3332 0.8319  3 Si 1.71-1.83
87 N 0.7120 0.8715 0.5894  3 Si 1.72-1.89
88 N 0.3277 0.5989 0.7913  3 Si 1.81-1.84
89 N 0.6205 0.6644 0.9941  3 Si 1.74-1.80
90 N 0.9476 0.3072 0.9771  3 Si 1.71-1.79
91 N 0.4998 0.2675 0.2702  2 Si 1.62-1.66
92 N 0.8995 0.3412 0.7045  3 Si 1.68-1.80
93 N 0.1504 0.2536 0.6183  3 Si 1.71-1.76
94 N 0.5398 0.1693 0.0037  4 Si 1.76-1.87
95 N 0.8138 0.5566 0.1473  3 Si 1.72-1.77
96 N 0.8534 0.6937 0.6708  3 Si 1.72-1.77
97 N 0.1604 0.7883 0.3908  3 Si 1.71-1.77
98 N 0.1358 0.0491 0.2519  3 Si 1.72-1.82
99 N 0.5553 0.5225 0.2111  3 Si 1.73-1.76
100 N 0.3506 0.1280 0.1360  3 Si 1.72-1.76
101 N 0.5530 0.0267 0.7751  3 Si 1.75-1.76
102 N 0.9463 0.3348 0.2211  3 Si 1.73-1.80
103 N 0.0428 0.5788 0.2879  3 Si 1.69-1.80
104 N 0.0366 0.8280 0.1564  3 Si 1.76-1.82
105 N 0.7112 0.2207 0.8526  3 Si 1.71-1.76

Summary:
Total magnetic moment in μB/f.u.: 0.0
V in A^3/atom: 11.122


Consider the structures shown above. The least stable of them is version i.